# HfZrO4

A relaxed structure of HfZrO4 (PBE, the Materials Project database).

Calculated values
For the total energy, the calculation gives -9.761 eV per atom. The formation energy from the elements is -3.836 eV/atom.

Lattice parameters (Å, degrees): 10.2296 10.2296 10.2296 90.00 90.00 90.00
Fractional coordinates of all 96 atoms:
O 0.9997 0.4956 0.2495
Hf 0.6256 0.8739 0.3762
Hf 0.8754 0.6246 0.3754
O 0.7513 0.7493 0.0013
Hf 0.1256 0.6261 0.6238
Zr 0.8764 0.6261 0.8748
O 0.7506 0.4965 0.7551
Zr 0.8739 0.1252 0.3764
Zr 0.8749 0.3749 0.1251
O 0.7505 0.4997 0.0044
O 0.7449 0.0006 0.5015
Zr 0.6251 0.6251 0.6251
O 0.0013 0.7513 0.7493
O 0.5023 0.9977 0.0023
O 0.9965 0.7449 0.2494
Hf 0.3762 0.6256 0.8739
Hf 0.6246 0.3754 0.8754
Zr 0.1236 0.1261 0.6252
O 0.2551 0.5006 0.9985
O 0.2449 0.4994 0.4985
O 0.0003 0.9956 0.2505
Zr 0.1252 0.3764 0.8739
O 0.7507 0.9987 0.2513
O 0.2507 0.5013 0.7487
O 0.4976 0.9976 0.5024
O 0.4994 0.4985 0.2449
O 0.2551 0.7494 0.5035
Hf 0.1246 0.1246 0.1246
Hf 0.1261 0.8762 0.8744
O 0.2488 0.7512 0.2512
O 0.4965 0.7551 0.7506
Hf 0.3744 0.3739 0.1238
Zr 0.6236 0.3739 0.3748
O 0.7487 0.2507 0.5013
O 0.4956 0.2495 0.9997
O 0.2506 0.0035 0.2449
O 0.7551 0.7506 0.4965
Zr 0.3749 0.1251 0.8749
O 0.7515 0.2485 0.7485
O 0.7551 0.9994 0.0015
O 0.0023 0.5023 0.9977
Hf 0.3754 0.8754 0.6246
O 0.2494 0.9965 0.7449
O 0.2512 0.2488 0.7512
Hf 0.6261 0.6238 0.1256
O 0.4977 0.4977 0.4977
O 0.7488 0.7488 0.7488
Hf 0.8739 0.3762 0.6256
O 0.2449 0.2506 0.0035
Hf 0.8744 0.1261 0.8762
Hf 0.1238 0.3744 0.3739
O 0.2493 0.4987 0.2487
O 0.5035 0.2551 0.7494
O 0.7485 0.7515 0.2485
O 0.9994 0.0015 0.7551
O 0.5003 0.5044 0.7495
Hf 0.6238 0.1256 0.6261
O 0.0044 0.7505 0.4997
Zr 0.8748 0.8764 0.6261
O 0.2485 0.7485 0.7515
Hf 0.8762 0.8744 0.1261
O 0.0006 0.5015 0.7449
Hf 0.3739 0.1238 0.3744
O 0.5024 0.4976 0.9976
O 0.0015 0.7551 0.9994
O 0.7493 0.0013 0.7513
O 0.5044 0.7495 0.5003
O 0.9985 0.2551 0.5006
O 0.7494 0.5035 0.2551
Zr 0.3748 0.6236 0.3739
O 0.7512 0.2512 0.2488
O 0.7495 0.5003 0.5044
O 0.4987 0.2487 0.2493
O 0.5006 0.9985 0.2551
Zr 0.3764 0.8739 0.1252
O 0.0035 0.2449 0.2506
O 0.7449 0.2494 0.9965
O 0.2505 0.0003 0.9956
Zr 0.1251 0.8749 0.3749
O 0.5015 0.7449 0.0006
O 0.4997 0.0044 0.7505
O 0.9976 0.5024 0.4976
O 0.2487 0.2493 0.4987
O 0.4985 0.2449 0.4994
Zr 0.1261 0.6252 0.1236
O 0.9987 0.2513 0.7507
Zr 0.3739 0.3748 0.6236
O 0.2513 0.7507 0.9987
O 0.2515 0.2515 0.2515
O 0.9977 0.0023 0.5023
Zr 0.6252 0.1236 0.1261
O 0.9956 0.2505 0.0003
O 0.5013 0.7487 0.2507
O 0.2495 0.9997 0.4956
O 0.0024 0.0024 0.0024
Zr 0.6261 0.8748 0.8764